A geometry-optimized Cs2Ti2S9 structure. Source: the Materials Project database, functional r²SCAN.

As for the magnetization: 0.00 μB per atom. The calculation puts the formation energy at -1.13 eV per atom.

abc: 10.389 10.389 10.389
angles: 83.39 83.39 83.39
Sites, in units of the cell vectors:
Cs 0.000 0.000 0.000
Cs 0.061 0.450 0.793
Cs 0.237 0.237 0.237
Cs 0.450 0.793 0.061
Cs 0.575 0.575 0.575
Cs 0.793 0.061 0.450
Ti 0.066 0.706 0.368
Ti 0.241 0.903 0.506
Ti 0.368 0.066 0.706
Ti 0.506 0.241 0.903
Ti 0.706 0.368 0.066
Ti 0.903 0.506 0.241
S 0.038 0.449 0.414
S 0.060 0.906 0.677
S 0.081 0.634 0.140
S 0.119 0.923 0.322
S 0.140 0.081 0.634
S 0.222 0.661 0.526
S 0.284 0.593 0.348
S 0.322 0.119 0.923
S 0.342 0.838 0.729
S 0.348 0.284 0.593
S 0.401 0.456 0.851
S 0.414 0.038 0.449
S 0.449 0.414 0.038
S 0.456 0.851 0.401
S 0.526 0.222 0.661
S 0.530 0.884 0.723
S 0.593 0.348 0.284
S 0.634 0.140 0.081
S 0.661 0.526 0.222
S 0.677 0.060 0.906
S 0.723 0.530 0.884
S 0.729 0.342 0.838
S 0.838 0.729 0.342
S 0.851 0.401 0.456
S 0.884 0.723 0.530
S 0.906 0.677 0.060
S 0.923 0.322 0.119

***

A geometry-optimized Bi25O38 structure. Source: the Materials Project database, functional r²SCAN.

As for the magnetization: 0.02 μB per atom. The calculation puts the formation energy at -1.27 eV per atom.

abc: 8.860 8.960 14.505
angles: 90.64 90.09 109.72
Sites, in units of the cell vectors:
Bi 0.000 0.000 0.000
Bi 0.005 0.329 0.180
Bi 0.063 0.958 0.262
Bi 0.076 0.625 0.568
Bi 0.140 0.184 0.668
Bi 0.176 0.540 0.816
Bi 0.244 0.762 0.089
Bi 0.292 0.664 0.335
Bi 0.329 0.045 0.478
Bi 0.334 0.378 0.008
Bi 0.348 0.033 0.842
Bi 0.407 0.297 0.263
Bi 0.492 0.829 0.656
Bi 0.515 0.507 0.497
Bi 0.551 0.449 0.750
Bi 0.578 0.780 0.920
Bi 0.588 0.136 0.071
Bi 0.641 0.692 0.158
Bi 0.653 0.029 0.316
Bi 0.743 0.242 0.589
Bi 0.809 0.193 0.838
Bi 0.842 0.546 0.332
Bi 0.851 0.536 0.991
Bi 0.858 0.893 0.500
Bi 0.913 0.783 0.763
O 0.017 0.833 0.589
O 0.021 0.848 0.103
O 0.031 0.339 0.722
O 0.066 0.021 0.777
O 0.072 0.635 0.413
O 0.082 0.011 0.415
O 0.088 0.547 0.036
O 0.128 0.705 0.730
O 0.146 0.700 0.228
O 0.148 0.227 0.105
O 0.214 0.410 0.281
O 0.263 0.081 0.970
O 0.318 0.748 0.543
O 0.339 0.272 0.788
O 0.339 0.783 0.908
O 0.382 0.953 0.353
O 0.386 0.580 0.720
O 0.403 0.600 0.093
O 0.456 0.275 0.412
O 0.515 0.345 0.091
O 0.523 0.351 0.602
O 0.533 0.838 0.226
O 0.563 0.538 0.909
O 0.574 0.526 0.285
O 0.580 0.031 0.538
O 0.581 0.146 0.911
O 0.633 0.207 0.231
O 0.645 0.722 0.596
O 0.659 0.203 0.726
O 0.701 0.890 0.799
O 0.705 0.896 0.042
O 0.762 0.565 0.467
O 0.823 0.279 0.043
O 0.846 0.776 0.295
O 0.882 0.454 0.858
O 0.897 0.088 0.236
O 0.898 0.086 0.600
O 0.952 0.778 0.911

***

A geometry-optimized SmMg3 structure. Source: the Materials Project database, functional r²SCAN.

As for the magnetization: 0.00 μB per atom. The calculation puts the formation energy at -0.12 eV per atom.

abc: 5.197 5.197 5.197
angles: 60.00 60.00 60.00
Sites, in units of the cell vectors:
Sm 0.000 0.000 0.000
Mg 0.250 0.250 0.250
Mg 0.500 0.500 0.500
Mg 0.750 0.750 0.750

***

A geometry-optimized Bi14SO24 structure. Source: the Materials Project database, functional r²SCAN.

As for the magnetization: 0.00 μB per atom. The calculation puts the formation energy at -1.37 eV per atom.

abc: 10.552 10.552 8.661
angles: 114.19 114.19 109.01
Sites, in units of the cell vectors:
Bi 0.000 0.000 0.000
Bi 0.081 0.745 0.575
Bi 0.151 0.485 0.168
Bi 0.268 0.930 0.361
Bi 0.334 0.675 0.949
Bi 0.422 0.422 0.532
Bi 0.485 0.151 0.168
Bi 0.551 0.869 0.771
Bi 0.657 0.657 0.427
Bi 0.675 0.334 0.949
Bi 0.745 0.081 0.575
Bi 0.765 0.765 0.113
Bi 0.869 0.551 0.771
Bi 0.930 0.268 0.361
S 0.174 0.174 0.758
O 0.007 0.007 0.551
O 0.033 0.543 0.594
O 0.085 0.327 0.261
O 0.177 0.318 0.770
O 0.188 0.188 0.944
O 0.200 0.712 0.088
O 0.215 0.704 0.437
O 0.318 0.177 0.770
O 0.327 0.085 0.261
O 0.391 0.880 0.936
O 0.449 0.605 0.460
O 0.503 0.660 0.820
O 0.543 0.033 0.594
O 0.586 0.829 0.265
O 0.605 0.449 0.460
O 0.660 0.503 0.820
O 0.704 0.215 0.437
O 0.712 0.200 0.088
O 0.757 0.913 0.708
O 0.810 0.969 0.075
O 0.829 0.586 0.265
O 0.880 0.391 0.936
O 0.913 0.757 0.708
O 0.969 0.810 0.075

***

A geometry-optimized Zr2BN structure. Source: the Materials Project database, functional r²SCAN.

As for the magnetization: 0.00 μB per atom. The calculation puts the formation energy at -1.31 eV per atom.

abc: 5.861 5.861 5.861
angles: 33.07 33.07 33.07
Sites, in units of the cell vectors:
Zr 0.248 0.248 0.248
Zr 0.752 0.752 0.752
B 0.000 0.000 0.000
N 0.500 0.500 0.500

***

A geometry-optimized Sb2I2F11 structure. Source: the Materials Project database, functional r²SCAN.

As for the magnetization: 0.05 μB per atom. The calculation puts the formation energy at -2.07 eV per atom.

abc: 7.773 7.773 5.138
angles: 104.79 104.79 65.31
Sites, in units of the cell vectors:
Sb 0.152 0.152 0.475
Sb 0.848 0.848 0.525
I 0.442 0.431 0.153
I 0.569 0.558 0.847
F 0.009 0.360 0.712
F 0.076 0.724 0.751
F 0.276 0.924 0.249
F 0.304 0.284 0.457
F 0.318 0.046 0.779
F 0.640 0.991 0.288
F 0.716 0.696 0.543
F 0.754 0.032 0.823
F 0.954 0.682 0.221
F 0.968 0.246 0.177
F 0.979 0.021 0.500